Record 1
DFT (GGA-PBE) results for an optimized crystal structure of NaTl.

Lattice parameters (Å, degrees): 5.3040 5.3040 10.3302 90.00 90.00 120.00
With the nearest neighbours (Å) after each atom.
Sites, in units of the cell vectors:
Tl1 0.0000 0.0000 0.2500  3 Tl 3.06
Tl2 0.0000 0.0000 0.7500  3 Tl 3.06
Tl3 0.3333 0.6667 0.2500  3 Tl 3.06, 2 Na 3.39
Tl4 0.6667 0.3333 0.7500  3 Tl 3.06, 2 Na 3.39
Na1 0.6667 0.3333 0.4218  7 Tl 3.39-3.54, 4 Na 3.46-3.55
Na2 0.6667 0.3333 0.0782  7 Tl 3.39-3.54, 4 Na 3.46-3.55
Na3 0.3333 0.6667 0.5782  7 Tl 3.39-3.54, 4 Na 3.46-3.55
Na4 0.3333 0.6667 0.9218  7 Tl 3.39-3.54, 4 Na 3.46-3.55

Results
SG: P6_3/mmc
Crystal system: hexagonal
Total DFT energy (no corrections), eV per atom: -1.89


Record 2
DFT (GGA-PBE) results for an optimized crystal structure of Th2FeSi3.

Lattice parameters (Å, degrees): 7.6373 7.6373 7.6373 149.14 148.58 44.62
With the nearest neighbours (Å) after each atom.
Sites, in units of the cell vectors:
Si1 0.5882 0.5882 0.0000  2 Fe 2.34, 1 Si 2.41
Si2 0.3264 0.8264 0.5000  1 Fe 2.27, 2 Si 2.41
Si3 0.4179 0.4179 0.0000  3 Si 2.41
Th1 0.0043 0.0043 0.0000  2 Fe 3.05, 10 Si 3.13-3.26
Th2 0.7478 0.2478 0.5000  8 Si 3.04-3.17, 4 Fe 3.12
Fe1 0.1654 0.6654 0.5000  3 Si 2.27-2.34

Results
SG: Imm2
Crystal system: orthorhombic
Total DFT energy (no corrections), eV per atom: -7.27
Total energy after the MP2020 corrections, eV per cell: -43.4


Record 3
DFT (GGA-PBE) results for an optimized crystal structure of NaMg14GaO16.

Lattice parameters (Å, degrees): 8.5587 8.5144 4.2901 90.00 90.00 90.00
With the nearest neighbours (Å) after each atom.
Sites, in units of the cell vectors:
O1 0.5000 0.7450 0.0000  6 Mg 2.09-2.17
O2 0.5000 0.0000 0.5000  6 Mg 2.11-2.16
O3 0.7509 0.7483 0.5000  6 Mg 2.11-2.15
O4 0.7372 0.0000 0.0000  5 Mg 2.03-2.15, 1 Na 2.25
O5 0.7558 0.5000 0.0000  1 Ga 2.09, 5 Mg 2.15-2.19
O6 0.2628 0.0000 0.0000  5 Mg 2.03-2.15, 1 Na 2.25
O7 0.2491 0.2517 0.5000  6 Mg 2.11-2.15
O8 0.5000 0.2550 0.0000  6 Mg 2.09-2.17
O9 0.2442 0.5000 0.0000  1 Ga 2.09, 5 Mg 2.15-2.19
O10 0.0000 0.2733 0.0000  1 Ga 1.93, 2 Mg 2.16
O11 0.0000 0.0000 0.5000  4 Mg 2.07-2.12, 2 Na 2.15
O12 0.5000 0.5000 0.5000  6 Mg 2.13-2.15
O13 0.2491 0.7483 0.5000  6 Mg 2.11-2.15
O14 0.0000 0.5000 0.5000  2 Ga 2.15, 4 Mg 2.15-2.19
O15 0.7509 0.2517 0.5000  6 Mg 2.11-2.15
O16 0.0000 0.7267 0.0000  1 Ga 1.93, 2 Mg 2.16
Mg1 0.7488 0.7551 0.0000  6 O 2.09-2.17
Mg2 0.7484 0.5000 0.5000  6 O 2.11-2.15
Mg3 0.2516 0.5000 0.5000  6 O 2.11-2.15
Mg4 0.5000 0.7525 0.5000  6 O 2.11-2.15
Mg5 0.5000 0.5000 0.0000  6 O 2.09-2.19
Mg6 0.7488 0.2449 0.0000  6 O 2.09-2.17
Mg7 0.2472 0.0000 0.5000  6 O 2.12-2.16
Mg8 0.0000 0.2431 0.5000  6 O 2.07-2.19
Mg9 0.5000 0.2475 0.5000  6 O 2.11-2.15
Mg10 0.5000 0.0000 0.0000  6 O 2.03-2.17
Mg11 0.0000 0.7569 0.5000  6 O 2.07-2.19
Mg12 0.7528 0.0000 0.5000  6 O 2.12-2.16
Mg13 0.2512 0.2449 0.0000  6 O 2.09-2.17
Mg14 0.2512 0.7551 0.0000  6 O 2.09-2.17
Ga1 0.0000 0.5000 0.0000  6 O 1.93-2.15
Na1 0.0000 0.0000 0.0000  6 O 2.15-2.33

Results
Energy relative to the lowest polymorph listed for this composition, eV/f.u.: 0.00
SG: Pmmm
Crystal system: orthorhombic
Total DFT energy (no corrections), eV per atom: -5.88
Total energy after the MP2020 corrections, eV per cell: -199.2


In eV per formula unit, the ΔH_f (0 K) values for the records above are, in order, -0.10; -3.83; -93.23.